Entry 1:
Crystalline Li5Ga4 at its relaxed geometry. Source: Materials Project, functional GGA-PBE.

The structure in CIF format:
```
data_Li5Ga4
_cell_length_a 4.3853
_cell_length_b 4.3853
_cell_length_c 8.3155
_cell_angle_alpha 90.00
_cell_angle_beta 90.00
_cell_angle_gamma 120.00
_symmetry_space_group_name_H-M 'P -3 m 1'
_symmetry_Int_Tables_number 164
_symmetry_space_group_name_Hall '-P 3 2"'
loop_
_atom_site_label
_atom_site_type_symbol
_atom_site_fract_x
_atom_site_fract_y
_atom_site_fract_z
_atom_site_occupancy
Li1 Li 0.0000 0.0000 0.0000 1
Li2 Li 0.3333 0.6667 0.1130 1
Li3 Li 0.3333 0.6667 0.4451 1
Ga1 Ga 0.0000 0.0000 0.3339 1
Ga2 Ga 0.3333 0.6667 0.7779 1
```

## Properties
Energy relative to the elements in eV/atom: -0.329
Volume in Å³/cell: 138.5

***

Entry 2:
Crystalline Li2Ga7 at its relaxed geometry. Source: Materials Project, functional GGA-PBE.

The structure in CIF format:
```
data_Li2Ga7
_cell_length_a 12.362
_cell_length_b 8.544
_cell_length_c 7.516
_cell_angle_alpha 90.00
_cell_angle_beta 115.24
_cell_angle_gamma 90.00
_symmetry_space_group_name_H-M 'C 1 m 1'
_symmetry_Int_Tables_number 8
loop_
_symmetry_equiv_pos_as_xyz
'x,y,z'
'x,-y,z'
'x+1/2,y+1/2,z'
'x+1/2,-y+1/2,z'
loop_
_atom_site_label
_atom_site_type_symbol
_atom_site_fract_x
_atom_site_fract_y
_atom_site_fract_z
_atom_site_occupancy
Li1 Li 0.000 0.000 0.000 1
Li2 Li 0.207 0.208 0.417 1
Li3 Li 0.264 0.500 0.066 1
Ga1 Ga 0.049 0.342 0.021 1
Ga2 Ga 0.085 0.500 0.351 1
Ga3 Ga 0.176 0.000 0.716 1
Ga4 Ga 0.214 0.159 0.042 1
Ga5 Ga 0.304 0.500 0.611 1
Ga6 Ga 0.326 0.258 0.828 1
Ga7 Ga 0.373 0.000 0.362 1
Ga8 Ga 0.394 0.000 0.706 1
Ga9 Ga 0.440 0.259 0.243 1
Ga10 Ga 0.462 0.500 0.458 1
```

## Properties
Energy relative to the elements in eV/atom: -0.190
Volume in Å³/cell: 718.1

***

Entry 3:
Crystalline LiGa3 at its relaxed geometry. Source: Materials Project, functional GGA-PBE.

The structure in CIF format:
```
data_LiGa3
_cell_length_a 4.053
_cell_length_b 4.053
_cell_length_c 8.301
_cell_angle_alpha 90.00
_cell_angle_beta 90.00
_cell_angle_gamma 90.00
_symmetry_space_group_name_H-M 'I 4/m m m'
_symmetry_Int_Tables_number 139
_symmetry_space_group_name_Hall '-I 4 2'
loop_
_atom_site_label
_atom_site_type_symbol
_atom_site_fract_x
_atom_site_fract_y
_atom_site_fract_z
_atom_site_occupancy
Li1 Li 0.000 0.000 0.000 1
Ga1 Ga 0.000 0.000 0.500 1
Ga2 Ga 0.000 0.500 0.250 1
```

## Properties
Energy relative to the elements in eV/atom: -0.179
Volume in Å³/cell: 136.4

***

Entry 4:
Crystalline Li2Ga at its relaxed geometry. Source: Materials Project, functional GGA-PBE.

The structure in CIF format:
```
data_Li2Ga
_cell_length_a 4.531
_cell_length_b 9.384
_cell_length_c 4.381
_cell_angle_alpha 90.00
_cell_angle_beta 90.00
_cell_angle_gamma 90.00
_symmetry_space_group_name_H-M 'C m c m'
_symmetry_Int_Tables_number 63
_symmetry_space_group_name_Hall '-C 2c 2'
loop_
_atom_site_label
_atom_site_type_symbol
_atom_site_fract_x
_atom_site_fract_y
_atom_site_fract_z
_atom_site_occupancy
Li1 Li 0.000 0.087 0.250 1
Li2 Li 0.000 0.258 0.750 1
Ga1 Ga 0.000 0.421 0.250 1
```

## Properties
Energy relative to the elements in eV/atom: -0.299
Volume in Å³/cell: 186.3

***

Entry 5:
Crystalline LiLu2Ga at its relaxed geometry. Source: Materials Project, functional GGA-PBE.

The structure in CIF format:
```
data_LiLu2Ga
_cell_length_a 7.047
_cell_length_b 7.047
_cell_length_c 7.047
_cell_angle_alpha 90.00
_cell_angle_beta 90.00
_cell_angle_gamma 90.00
_symmetry_space_group_name_H-M 'F m -3 m'
_symmetry_Int_Tables_number 225
_symmetry_space_group_name_Hall '-F 4 2 3'
loop_
_atom_site_label
_atom_site_type_symbol
_atom_site_fract_x
_atom_site_fract_y
_atom_site_fract_z
_atom_site_occupancy
Li1 Li 0.000 0.000 0.000 1
Lu1 Lu 0.250 0.250 0.250 1
Ga1 Ga 0.000 0.000 0.500 1
```

## Properties
Energy relative to the elements in eV/atom: -0.300
Volume in Å³/cell: 350.0

***

Entry 6:
Crystalline Li2MgGa at its relaxed geometry. Source: Materials Project, functional GGA-PBE.

The structure in CIF format:
```
data_Li2MgGa
_cell_length_a 6.530
_cell_length_b 6.530
_cell_length_c 6.530
_cell_angle_alpha 90.00
_cell_angle_beta 90.00
_cell_angle_gamma 90.00
_symmetry_space_group_name_H-M 'F -4 3 m'
_symmetry_Int_Tables_number 216
_symmetry_space_group_name_Hall 'F -4 2 3'
loop_
_atom_site_label
_atom_site_type_symbol
_atom_site_fract_x
_atom_site_fract_y
_atom_site_fract_z
_atom_site_occupancy
Li1 Li 0.000 0.000 0.000 1
Li2 Li 0.250 0.250 0.250 1
Mg1 Mg 0.250 0.250 0.750 1
Ga1 Ga 0.000 0.000 0.500 1
```

## Properties
Energy relative to the elements in eV/atom: -0.237
Volume in Å³/cell: 278.4